Entry from Materials Project: crystalline CaTiSiO5 at its relaxed geometry (r²SCAN).

The value obtained for the formation enthalpy at 0 K is -3326 meV/atom. The electronic total energy comes out at -10.652 eV/atom.

The space group is P2_1/c (No. 14) and the conventional cell measures 6.580, 8.714 and 7.049 Å, with angles of 90.00, 113.84 and 90.00 degrees. Symmetry generates all atoms from Ca at (0.250, 0.080, 0.247), Ti at (0.250, 0.749, 0.998), Si at (0.250, 0.069, 0.749), O at (0.064, 0.185, 0.590), O at (0.149, 0.538, 0.382), O at (0.250, 0.680, 0.749), O at (0.351, 0.537, 0.116) and O at (0.435, 0.185, 0.910).